(1)
## NdAsO4 (PBE-GGA)

Data for a relaxed structure of NdAsO4.

- Energy relative to the elements: -2.785 eV/atom

Structure (extended XYZ):
```
12
Lattice="-2.586 2.586 5.879 2.586 -2.586 5.879 2.586 2.586 -5.879" Properties=species:S:1:pos:R:3 pbc="T T T"
O 1.299 1.878 0.912
O 1.299 -0.708 2.028
O 3.874 0.708 2.028
O 1.288 0.708 6.791
O 1.878 1.288 3.851
O 3.295 -1.288 3.851
O 3.295 1.299 -0.912
O -0.708 1.288 4.967
As 2.586 0.000 2.939
As 0.000 0.000 5.879
Nd 0.000 0.000 0.000
Nd 0.000 2.586 2.939
```


(2)
## SrSn2As2 (PBE-GGA)

Data for a relaxed structure of SrSn2As2.

- Energy relative to the elements: -0.551 eV/atom

Structure (extended XYZ):
```
5
Lattice="9.142 -2.140 0.000 9.142 2.140 0.000 8.641 0.000 3.673" Properties=species:S:1:pos:R:3 pbc="T T T"
Sn 21.274 0.000 2.902
Sn 5.651 0.000 0.771
As 15.989 0.000 2.181
As 10.937 0.000 1.492
Sr 0.000 0.000 0.000
```


(3)
## Al12Ru (PBE-GGA)

Data for a relaxed structure of Al12Ru.

- Energy relative to the elements: -0.045 eV/atom

Structure (extended XYZ):
```
52
Lattice="9.495 0.000 0.000 0.000 9.495 0.000 0.000 0.000 9.495" Properties=species:S:1:pos:R:3 pbc="T T T"
Al 4.240 1.872 7.623
Al 1.453 1.453 8.041
Al 6.360 3.135 6.360
Al 0.418 2.890 2.890
Al 6.605 2.890 9.077
Al 5.707 5.707 5.707
Al 1.314 4.747 4.747
Al 2.890 9.077 6.605
Al 5.707 3.788 3.788
Al 6.151 0.000 0.000
Al 4.747 8.181 4.747
Al 7.623 1.872 4.240
Al 6.605 9.077 2.890
Al 3.135 3.135 3.135
Al 1.872 5.254 1.872
Al 9.077 6.605 2.890
Al 0.000 6.151 0.000
Al 0.000 0.000 3.343
Al 8.041 8.041 8.041
Al 1.872 1.872 5.254
Al 8.041 1.453 1.453
Al 0.000 3.343 0.000
Al 3.343 0.000 0.000
Al 5.254 1.872 1.872
Al 4.240 7.623 1.872
Al 2.890 0.418 2.890
Al 6.605 0.418 6.605
Al 4.747 4.747 8.181
Al 3.135 6.360 6.360
Al 4.747 4.747 1.314
Al 8.181 4.747 4.747
Al 3.788 3.788 5.707
Al 0.418 6.605 6.605
Al 3.788 5.707 3.788
Al 6.360 6.360 3.135
Al 1.872 4.240 7.623
Al 1.453 8.041 1.453
Al 5.254 7.623 7.623
Al 2.890 2.890 0.418
Al 7.623 7.623 5.254
Al 9.077 2.890 6.605
Al 6.605 6.605 0.418
Al 7.623 5.254 7.623
Al 7.623 4.240 1.872
Al 0.000 0.000 6.151
Al 1.872 7.623 4.240
Al 4.747 1.314 4.747
Al 2.890 6.605 9.077
Ru 1.111 1.111 1.111
Ru 8.384 8.384 1.111
Ru 8.384 1.111 8.384
Ru 1.111 8.384 8.384
```


(4)
## Ba2P7Cl (PBE-GGA)

Data for a relaxed structure of Ba2P7Cl.

- Energy relative to the elements: -0.876 eV/atom

Structure (extended XYZ):
```
20
Lattice="6.930 0.000 0.000 0.000 6.422 0.000 0.000 1.083 11.830" Properties=species:S:1:pos:R:3 pbc="T T T"
P 5.197 2.306 2.631
P 1.732 5.199 9.200
P 4.021 5.831 3.704
P 5.197 2.531 4.809
P 1.732 0.654 6.513
P 3.507 0.963 2.310
P 3.423 6.542 9.520
P 6.888 0.963 2.310
P 1.732 4.974 7.021
P 6.373 5.831 3.704
P 2.908 1.673 8.126
P 5.197 6.851 5.318
P 0.556 1.673 8.126
P 0.042 6.542 9.520
Ba 5.197 4.999 0.540
Ba 5.197 4.350 7.726
Ba 1.732 3.155 4.104
Ba 1.732 2.506 11.290
Cl 1.732 4.174 1.053
Cl 5.197 3.331 10.777
```


(5)
## Ta2NbIr (PBE-GGA)

Data for a relaxed structure of Ta2NbIr.

- Energy relative to the elements: -0.389 eV/atom

Structure (extended XYZ):
```
4
Lattice="0.000 3.240 3.240 3.240 0.000 3.240 3.240 3.240 0.000" Properties=species:S:1:pos:R:3 pbc="T T T"
Nb 0.000 0.000 0.000
Ta 4.861 4.861 4.861
Ta 1.620 1.620 1.620
Ir 3.240 3.240 3.240
```


(6)
## TiH8C4NO10 (PBE-GGA)

Data for a relaxed structure of TiH8C4NO10.

- Energy relative to the elements: -1.454 eV/atom

Structure (extended XYZ):
```
72
Lattice="4.490 -7.776 0.000 4.490 7.776 0.000 0.000 0.000 11.030" Properties=species:S:1:pos:R:3 pbc="T T T"
O 1.948 -2.160 1.147
O 5.443 -2.384 8.553
O 4.786 -3.522 6.154
O 3.393 -5.878 5.515
O 3.833 1.870 2.477
O 2.844 -0.607 2.530
O 4.193 -3.522 1.200
O 1.096 1.899 1.838
O 1.096 -1.899 5.515
O 3.593 5.010 8.501
O 4.193 3.522 6.154
O 5.146 1.870 4.877
O 3.536 2.384 8.553
O 3.593 -5.010 9.883
O 6.787 0.000 9.192
O 7.032 2.160 1.147
O 1.948 2.160 6.206
O 5.146 -1.870 2.477
O 2.844 0.607 4.824
O 3.536 -2.384 9.830
O 6.135 -0.607 4.824
O 5.386 -5.010 8.501
O 6.135 0.607 2.530
O 5.386 5.010 9.883
O 2.192 0.000 9.192
O 3.833 -1.870 4.877
O 3.393 5.878 1.838
O 7.032 -2.160 6.206
O 4.786 3.522 1.200
O 5.443 2.384 9.830
C 4.786 2.421 1.838
C 6.085 1.671 1.838
C 2.894 1.671 5.515
C 4.193 -2.421 1.838
C 4.490 4.434 9.192
C 4.490 2.934 9.192
C 4.490 -4.434 9.192
C 4.193 2.421 5.515
C 2.894 -1.671 1.838
C 4.786 -2.421 5.515
C 6.085 -1.671 5.515
C 4.490 -2.934 9.192
H 2.768 0.789 9.056
H 6.912 2.003 5.380
H 0.825 -0.195 10.430
H 6.912 -2.003 1.974
H 6.211 0.789 9.327
H 4.246 6.964 0.600
H 8.398 0.617 4.277
H 6.211 -0.789 9.056
H 2.067 2.003 1.974
H 5.190 -4.985 1.703
H 0.825 0.195 7.954
H 4.246 -6.964 6.753
H 5.190 4.985 5.651
H 8.154 -0.195 7.954
H 2.768 -0.789 9.327
H 2.067 -2.003 5.380
H 8.154 0.195 10.430
H 4.733 6.964 6.753
H 3.789 -4.985 5.651
H 0.581 0.617 3.077
H 3.789 4.985 1.703
H 8.398 -0.617 3.077
H 4.733 -6.964 0.600
H 0.581 -0.617 4.277
Ti 4.490 0.000 3.677
Ti 2.245 3.888 7.354
Ti 2.245 -3.888 0.000
N 0.000 0.000 0.000
N 0.000 0.000 7.354
N 0.000 0.000 3.677
```


(7)
## Tb2Pr (PBE-GGA)

Data for a relaxed structure of Tb2Pr.

- Energy relative to the elements: 0.017 eV/atom

Structure (extended XYZ):
```
3
Lattice="8.918 -1.812 0.000 8.918 1.812 0.000 8.550 0.000 3.116" Properties=species:S:1:pos:R:3 pbc="T T T"
Tb 5.917 0.000 0.699
Tb 26.335 0.000 3.110
Pr 20.520 0.000 2.423
```


(8)
## SiO2 (PBE-GGA)

Data for a relaxed structure of SiO2.

- Energy relative to the elements: -3.252 eV/atom

Structure (extended XYZ):
```
24
Lattice="-3.585 3.585 8.970 3.585 -3.585 8.970 3.585 3.585 -8.970" Properties=species:S:1:pos:R:3 pbc="T T T"
O -1.342 2.244 4.485
O 0.000 1.793 2.242
O 2.244 2.244 8.970
O -1.793 3.585 6.727
O -2.244 2.244 8.970
O 0.000 3.585 8.684
O 1.342 4.927 4.485
O 2.244 -2.244 8.970
O -1.342 4.927 4.485
O 0.000 5.378 2.242
O 1.342 1.342 0.000
O 1.793 3.585 6.727
O 1.342 2.244 4.485
O 0.000 0.000 13.741
O 0.000 3.585 0.286
O 0.000 0.000 4.199
Si -2.009 3.585 5.125
Si 1.577 3.585 8.330
Si 0.000 2.009 0.640
Si 0.000 5.162 0.640
Si 0.000 5.594 3.845
Si -1.577 3.585 8.330
Si 2.009 3.585 5.125
Si 0.000 1.577 3.845
```


Q: Look up the energy relative to the elements of the seventh one.
A: 0.017 eV/atom


Copy entry 4 word for word.
## Ba2P7Cl (PBE-GGA)

Data for a relaxed structure of Ba2P7Cl.

- Energy relative to the elements: -0.876 eV/atom

Structure (extended XYZ):
```
20
Lattice="6.930 0.000 0.000 0.000 6.422 0.000 0.000 1.083 11.830" Properties=species:S:1:pos:R:3 pbc="T T T"
P 5.197 2.306 2.631
P 1.732 5.199 9.200
P 4.021 5.831 3.704
P 5.197 2.531 4.809
P 1.732 0.654 6.513
P 3.507 0.963 2.310
P 3.423 6.542 9.520
P 6.888 0.963 2.310
P 1.732 4.974 7.021
P 6.373 5.831 3.704
P 2.908 1.673 8.126
P 5.197 6.851 5.318
P 0.556 1.673 8.126
P 0.042 6.542 9.520
Ba 5.197 4.999 0.540
Ba 5.197 4.350 7.726
Ba 1.732 3.155 4.104
Ba 1.732 2.506 11.290
Cl 1.732 4.174 1.053
Cl 5.197 3.331 10.777
```


Q: Which of these has the highest energy relative to the elements?
A: Tb2Pr